(1)
# Ba2YCl7 | the Materials Project | PBE | optimized geometry
data_Ba2YCl7
_chemical_formula_sum 'Ba8 Y4 Cl28'
_cell_length_a 12.9651
_cell_length_b 7.6361
_cell_length_c 15.3845
_cell_angle_alpha 90.00
_cell_angle_beta 90.00
_cell_angle_gamma 90.00
_space_group_name_H-M_alt 'P 1'
_space_group_IT_number 1
_space_group_name_Hall 'P 1'
loop_
_atom_site_label
_atom_site_type_symbol
_atom_site_fract_x
_atom_site_fract_y
_atom_site_fract_z
Ba1 Ba 0.2409 0.2500 0.2437
Ba2 Ba 0.2433 0.2500 0.9555
Ba3 Ba 0.2567 0.7500 0.4555
Ba4 Ba 0.2591 0.7500 0.7437
Ba5 Ba 0.7409 0.2500 0.2563
Ba6 Ba 0.7433 0.2500 0.5445
Ba7 Ba 0.7567 0.7500 0.0445
Ba8 Ba 0.7591 0.7500 0.7563
Y1 Y 0.0591 0.2500 0.6936
Y2 Y 0.4409 0.7500 0.1936
Y3 Y 0.5591 0.2500 0.8064
Y4 Y 0.9409 0.7500 0.3064
Cl1 Cl 0.0942 0.2500 0.0987
Cl2 Cl 0.0967 0.5281 0.3425
Cl3 Cl 0.0967 0.9719 0.3425
Cl4 Cl 0.1090 0.0321 0.8235
Cl5 Cl 0.1090 0.4679 0.8235
Cl6 Cl 0.1697 0.0223 0.6018
Cl7 Cl 0.1697 0.4777 0.6018
Cl8 Cl 0.3303 0.5223 0.1018
Cl9 Cl 0.3303 0.9777 0.1018
Cl10 Cl 0.3910 0.5321 0.3235
Cl11 Cl 0.3910 0.9679 0.3235
Cl12 Cl 0.4033 0.0281 0.8425
Cl13 Cl 0.4033 0.4719 0.8425
Cl14 Cl 0.4058 0.7500 0.5987
Cl15 Cl 0.5942 0.2500 0.4013
Cl16 Cl 0.5967 0.5281 0.1575
Cl17 Cl 0.5967 0.9719 0.1575
Cl18 Cl 0.6090 0.0321 0.6765
Cl19 Cl 0.6090 0.4679 0.6765
Cl20 Cl 0.6697 0.0223 0.8982
Cl21 Cl 0.6697 0.4777 0.8982
Cl22 Cl 0.8303 0.5223 0.3982
Cl23 Cl 0.8303 0.9777 0.3982
Cl24 Cl 0.8910 0.5321 0.1765
Cl25 Cl 0.8910 0.9679 0.1765
Cl26 Cl 0.9033 0.0281 0.6575
Cl27 Cl 0.9033 0.4719 0.6575
Cl28 Cl 0.9058 0.7500 0.9013
# energy above the most stable polymorph in this dataset = 1.85 kcal/mol of atoms

***

(2)
# Ba2YCl7 | the Materials Project | PBE | optimized geometry
data_Ba2YCl7
_chemical_formula_sum 'Ba8 Y4 Cl28'
_cell_length_a 8.8046
_cell_length_b 11.1627
_cell_length_c 14.7456
_cell_angle_alpha 90.00
_cell_angle_beta 117.10
_cell_angle_gamma 90.00
_space_group_name_H-M_alt 'P 1'
_space_group_IT_number 1
_space_group_name_Hall 'P 1'
loop_
_atom_site_label
_atom_site_type_symbol
_atom_site_fract_x
_atom_site_fract_y
_atom_site_fract_z
Ba1 Ba 0.1341 0.2167 0.2963
Ba2 Ba 0.1341 0.2833 0.7963
Ba3 Ba 0.2662 0.7057 0.0310
Ba4 Ba 0.2662 0.7943 0.5310
Ba5 Ba 0.7338 0.2057 0.4690
Ba6 Ba 0.7338 0.2943 0.9690
Ba7 Ba 0.8659 0.7167 0.2037
Ba8 Ba 0.8659 0.7833 0.7037
Y1 Y 0.4540 0.0891 0.1317
Y2 Y 0.4540 0.4109 0.6317
Y3 Y 0.5460 0.5891 0.3683
Y4 Y 0.5460 0.9109 0.8683
Cl1 Cl 0.0466 0.5548 0.8462
Cl2 Cl 0.0466 0.9452 0.3462
Cl3 Cl 0.1228 0.1588 0.0804
Cl4 Cl 0.1228 0.3412 0.5804
Cl5 Cl 0.2487 0.6994 0.2399
Cl6 Cl 0.2487 0.8006 0.7399
Cl7 Cl 0.2888 0.5326 0.4495
Cl8 Cl 0.2888 0.9674 0.9495
Cl9 Cl 0.4242 0.2110 0.5233
Cl10 Cl 0.4242 0.2890 0.0233
Cl11 Cl 0.4335 0.0573 0.3088
Cl12 Cl 0.4335 0.4427 0.8088
Cl13 Cl 0.4413 0.1337 0.8072
Cl14 Cl 0.4413 0.3663 0.3072
Cl15 Cl 0.5587 0.6337 0.6928
Cl16 Cl 0.5587 0.8663 0.1928
Cl17 Cl 0.5665 0.5573 0.1912
Cl18 Cl 0.5665 0.9427 0.6912
Cl19 Cl 0.5758 0.7110 0.9767
Cl20 Cl 0.5758 0.7890 0.4767
Cl21 Cl 0.7112 0.0326 0.0505
Cl22 Cl 0.7112 0.4674 0.5505
Cl23 Cl 0.7513 0.1994 0.2601
Cl24 Cl 0.7513 0.3006 0.7601
Cl25 Cl 0.8772 0.6588 0.4196
Cl26 Cl 0.8772 0.8412 0.9196
Cl27 Cl 0.9534 0.0548 0.6538
Cl28 Cl 0.9534 0.4452 0.1538
# energy above the most stable polymorph in this dataset = 1.61 kcal/mol of atoms

***

(3)
Here is a relaxed structure of Ba6YCl15 from the Materials Project. Energies are from PBE.

The structure in CIF format:
```
data_Ba6YCl15
_chemical_formula_sum 'Ba24 Y4 Cl60'
_cell_length_a 10.8440
_cell_length_b 10.8440
_cell_length_c 31.0559
_cell_angle_alpha 90.06
_cell_angle_beta 90.06
_cell_angle_gamma 91.94
_space_group_name_H-M_alt 'P 1'
_space_group_IT_number 1
_space_group_name_Hall 'P 1'
loop_
_atom_site_label
_atom_site_type_symbol
_atom_site_fract_x
_atom_site_fract_y
_atom_site_fract_z
Ba1 Ba 0.0035 0.0243 0.1134
Ba2 Ba 0.0243 0.0035 0.6134
Ba3 Ba 0.0603 0.5471 0.8623
Ba4 Ba 0.0824 0.4426 0.6280
Ba5 Ba 0.1841 0.2388 0.2431
Ba6 Ba 0.2224 0.3287 0.0227
Ba7 Ba 0.2388 0.1841 0.7431
Ba8 Ba 0.3287 0.2224 0.5227
Ba9 Ba 0.3915 0.5408 0.1465
Ba10 Ba 0.4426 0.0824 0.1280
Ba11 Ba 0.4529 0.9397 0.6377
Ba12 Ba 0.4592 0.6085 0.3535
Ba13 Ba 0.5408 0.3915 0.6465
Ba14 Ba 0.5471 0.0603 0.3623
Ba15 Ba 0.5574 0.9176 0.8720
Ba16 Ba 0.6085 0.4592 0.8535
Ba17 Ba 0.6713 0.7776 0.4773
Ba18 Ba 0.7612 0.8159 0.2569
Ba19 Ba 0.7776 0.6713 0.9773
Ba20 Ba 0.8159 0.7612 0.7569
Ba21 Ba 0.9176 0.5574 0.3720
Ba22 Ba 0.9397 0.4529 0.1377
Ba23 Ba 0.9757 0.9965 0.3866
Ba24 Ba 0.9965 0.9757 0.8866
Y1 Y 0.2479 0.2964 0.3866
Y2 Y 0.2964 0.2479 0.8866
Y3 Y 0.7036 0.7521 0.1134
Y4 Y 0.7521 0.7036 0.6134
Cl1 Cl 0.0068 0.7094 0.6176
Cl2 Cl 0.0131 0.2136 0.6818
Cl3 Cl 0.0303 0.7345 0.9351
Cl4 Cl 0.0563 0.7917 0.8110
Cl5 Cl 0.0612 0.2429 0.5596
Cl6 Cl 0.0972 0.2159 0.8314
Cl7 Cl 0.1233 0.1702 0.9456
Cl8 Cl 0.1547 0.4940 0.2028
Cl9 Cl 0.1684 0.5464 0.0849
Cl10 Cl 0.1702 0.1233 0.4456
Cl11 Cl 0.1907 0.4752 0.3257
Cl12 Cl 0.2083 0.9437 0.6890
Cl13 Cl 0.2136 0.0131 0.1818
Cl14 Cl 0.2159 0.0972 0.3314
Cl15 Cl 0.2345 0.4551 0.9333
Cl16 Cl 0.2429 0.0612 0.0596
Cl17 Cl 0.2655 0.9697 0.5649
Cl18 Cl 0.2666 0.4894 0.4355
Cl19 Cl 0.2889 0.4265 0.6970
Cl20 Cl 0.2906 0.9932 0.8824
Cl21 Cl 0.3195 0.4479 0.8309
Cl22 Cl 0.3379 0.4498 0.5810
Cl23 Cl 0.4265 0.2889 0.1970
Cl24 Cl 0.4479 0.3195 0.3309
Cl25 Cl 0.4498 0.3379 0.0810
Cl26 Cl 0.4536 0.8316 0.4151
Cl27 Cl 0.4551 0.2345 0.4333
Cl28 Cl 0.4752 0.1907 0.8257
Cl29 Cl 0.4894 0.2666 0.9355
Cl30 Cl 0.4940 0.1547 0.7028
Cl31 Cl 0.5060 0.8453 0.2972
Cl32 Cl 0.5106 0.7334 0.0645
Cl33 Cl 0.5248 0.8093 0.1743
Cl34 Cl 0.5449 0.7655 0.5667
Cl35 Cl 0.5464 0.1684 0.5849
Cl36 Cl 0.5502 0.6621 0.9190
Cl37 Cl 0.5521 0.6805 0.6691
Cl38 Cl 0.5735 0.7111 0.8030
Cl39 Cl 0.6621 0.5502 0.4190
Cl40 Cl 0.6805 0.5521 0.1691
Cl41 Cl 0.7094 0.0068 0.1176
Cl42 Cl 0.7111 0.5735 0.3030
Cl43 Cl 0.7334 0.5106 0.5645
Cl44 Cl 0.7345 0.0303 0.4351
Cl45 Cl 0.7571 0.9388 0.9404
Cl46 Cl 0.7655 0.5449 0.0667
Cl47 Cl 0.7841 0.9028 0.6686
Cl48 Cl 0.7864 0.9869 0.8182
Cl49 Cl 0.7917 0.0563 0.3110
Cl50 Cl 0.8093 0.5248 0.6743
Cl51 Cl 0.8298 0.8767 0.5544
Cl52 Cl 0.8316 0.4536 0.9151
Cl53 Cl 0.8453 0.5060 0.7972
Cl54 Cl 0.8767 0.8298 0.0544
Cl55 Cl 0.9028 0.7841 0.1686
Cl56 Cl 0.9388 0.7571 0.4404
Cl57 Cl 0.9437 0.2083 0.1890
Cl58 Cl 0.9697 0.2655 0.0649
Cl59 Cl 0.9869 0.7864 0.3182
Cl60 Cl 0.9932 0.2906 0.3824
```

***

(4)
Here is a relaxed structure of BaY4Cl14 from the Materials Project. Energies are from PBE.

The structure in CIF format:
```
data_BaY4Cl14
_chemical_formula_sum 'Ba4 Y16 Cl56'
_cell_length_a 7.4670
_cell_length_b 9.3714
_cell_length_c 43.6985
_cell_angle_alpha 90.00
_cell_angle_beta 90.00
_cell_angle_gamma 90.00
_space_group_name_H-M_alt 'P 1'
_space_group_IT_number 1
_space_group_name_Hall 'P 1'
loop_
_atom_site_label
_atom_site_type_symbol
_atom_site_fract_x
_atom_site_fract_y
_atom_site_fract_z
Ba1 Ba 0.2264 0.2319 0.2834
Ba2 Ba 0.2736 0.7681 0.7834
Ba3 Ba 0.7264 0.2681 0.7166
Ba4 Ba 0.7736 0.7319 0.2166
Y1 Y 0.2357 0.6065 0.6697
Y2 Y 0.2444 0.2543 0.5742
Y3 Y 0.2444 0.9189 0.4764
Y4 Y 0.2451 0.5850 0.3789
Y5 Y 0.2549 0.4150 0.8789
Y6 Y 0.2556 0.0811 0.9764
Y7 Y 0.2556 0.7457 0.0742
Y8 Y 0.2643 0.3935 0.1697
Y9 Y 0.7357 0.8935 0.3303
Y10 Y 0.7444 0.2457 0.4258
Y11 Y 0.7444 0.5811 0.5236
Y12 Y 0.7451 0.9150 0.6211
Y13 Y 0.7549 0.0850 0.1211
Y14 Y 0.7556 0.4189 0.0236
Y15 Y 0.7556 0.7543 0.9258
Y16 Y 0.7643 0.1065 0.8303
Cl1 Cl 0.0171 0.4306 0.5464
Cl2 Cl 0.0192 0.1007 0.4493
Cl3 Cl 0.0280 0.2646 0.0021
Cl4 Cl 0.0309 0.9264 0.1027
Cl5 Cl 0.0349 0.6108 0.9032
Cl6 Cl 0.0384 0.7808 0.3514
Cl7 Cl 0.0457 0.7793 0.6351
Cl8 Cl 0.0696 0.9959 0.8124
Cl9 Cl 0.1191 0.5864 0.2069
Cl10 Cl 0.2319 0.7894 0.7158
Cl11 Cl 0.2394 0.5200 0.8235
Cl12 Cl 0.2388 0.7548 0.4273
Cl13 Cl 0.2439 0.5806 0.1230
Cl14 Cl 0.2451 0.0822 0.5259
Cl15 Cl 0.2549 0.9178 0.0259
Cl16 Cl 0.2561 0.4194 0.6230
Cl17 Cl 0.2612 0.2452 0.9273
Cl18 Cl 0.2606 0.4800 0.3235
Cl19 Cl 0.2681 0.2106 0.2158
Cl20 Cl 0.3809 0.4136 0.7069
Cl21 Cl 0.4304 0.0041 0.3124
Cl22 Cl 0.4543 0.2207 0.1351
Cl23 Cl 0.4616 0.2192 0.8514
Cl24 Cl 0.4651 0.3892 0.4032
Cl25 Cl 0.4691 0.0736 0.6027
Cl26 Cl 0.4720 0.7354 0.5021
Cl27 Cl 0.4808 0.8993 0.9493
Cl28 Cl 0.4829 0.5694 0.0464
Cl29 Cl 0.5171 0.0694 0.4536
Cl30 Cl 0.5192 0.3993 0.5507
Cl31 Cl 0.5280 0.2354 0.9979
Cl32 Cl 0.5309 0.5736 0.8973
Cl33 Cl 0.5349 0.8892 0.0968
Cl34 Cl 0.5384 0.7192 0.6486
Cl35 Cl 0.5457 0.7207 0.3649
Cl36 Cl 0.5696 0.5041 0.1876
Cl37 Cl 0.6191 0.9136 0.7931
Cl38 Cl 0.7319 0.7106 0.2842
Cl39 Cl 0.7388 0.7452 0.5727
Cl40 Cl 0.7394 0.9800 0.1765
Cl41 Cl 0.7439 0.9194 0.8770
Cl42 Cl 0.7451 0.4178 0.4741
Cl43 Cl 0.7549 0.5822 0.9741
Cl44 Cl 0.7561 0.0806 0.3770
Cl45 Cl 0.7606 0.0200 0.6765
Cl46 Cl 0.7612 0.2548 0.0727
Cl47 Cl 0.7681 0.2894 0.7842
Cl48 Cl 0.8809 0.0864 0.2931
Cl49 Cl 0.9304 0.4959 0.6876
Cl50 Cl 0.9543 0.2793 0.8649
Cl51 Cl 0.9616 0.2808 0.1486
Cl52 Cl 0.9651 0.1108 0.5968
Cl53 Cl 0.9691 0.4264 0.3973
Cl54 Cl 0.9720 0.7646 0.4979
Cl55 Cl 0.9808 0.6007 0.0507
Cl56 Cl 0.9829 0.9306 0.9536
```

***

(5)
# Ba3Y2Cl12 | the Materials Project | PBE | optimized geometry
data_Ba3Y2Cl12
_chemical_formula_sum 'Ba12 Y8 Cl48'
_cell_length_a 12.9006
_cell_length_b 12.3833
_cell_length_c 18.3487
_cell_angle_alpha 90.00
_cell_angle_beta 134.26
_cell_angle_gamma 90.00
_space_group_name_H-M_alt 'P 1'
_space_group_IT_number 1
_space_group_name_Hall 'P 1'
loop_
_atom_site_label
_atom_site_type_symbol
_atom_site_fract_x
_atom_site_fract_y
_atom_site_fract_z
Ba1 Ba 0.1746 0.0083 0.4814
Ba2 Ba 0.1746 0.4917 0.9814
Ba3 Ba 0.1775 0.6112 0.6904
Ba4 Ba 0.1775 0.8888 0.1904
Ba5 Ba 0.2748 0.2173 0.7990
Ba6 Ba 0.2748 0.2827 0.2990
Ba7 Ba 0.7252 0.7173 0.7010
Ba8 Ba 0.7252 0.7827 0.2010
Ba9 Ba 0.8225 0.1112 0.8096
Ba10 Ba 0.8225 0.3888 0.3096
Ba11 Ba 0.8254 0.5083 0.0186
Ba12 Ba 0.8254 0.9917 0.5186
Y1 Y 0.2335 0.6471 0.4254
Y2 Y 0.2335 0.8529 0.9254
Y3 Y 0.4568 0.1652 0.1476
Y4 Y 0.4568 0.3348 0.6476
Y5 Y 0.5432 0.6652 0.3524
Y6 Y 0.5432 0.8348 0.8524
Y7 Y 0.7665 0.1471 0.0746
Y8 Y 0.7665 0.3529 0.5746
Cl1 Cl 0.0526 0.7043 0.7962
Cl2 Cl 0.0526 0.7957 0.2962
Cl3 Cl 0.0708 0.1382 0.5710
Cl4 Cl 0.0708 0.3618 0.0710
Cl5 Cl 0.0810 0.5710 0.4597
Cl6 Cl 0.0810 0.9290 0.9597
Cl7 Cl 0.1410 0.5171 0.2793
Cl8 Cl 0.1410 0.9829 0.7793
Cl9 Cl 0.2207 0.2253 0.9599
Cl10 Cl 0.2207 0.2747 0.4599
Cl11 Cl 0.2542 0.0476 0.3501
Cl12 Cl 0.2542 0.4524 0.8501
Cl13 Cl 0.2803 0.6182 0.1840
Cl14 Cl 0.2803 0.8818 0.6840
Cl15 Cl 0.2996 0.1084 0.1822
Cl16 Cl 0.2996 0.3916 0.6822
Cl17 Cl 0.3806 0.7025 0.0672
Cl18 Cl 0.3806 0.7975 0.5672
Cl19 Cl 0.4025 0.7440 0.4020
Cl20 Cl 0.4025 0.7560 0.9020
Cl21 Cl 0.4639 0.5253 0.5756
Cl22 Cl 0.4639 0.9747 0.0756
Cl23 Cl 0.4861 0.1329 0.7036
Cl24 Cl 0.4861 0.3671 0.2036
Cl25 Cl 0.5139 0.6329 0.7964
Cl26 Cl 0.5139 0.8671 0.2964
Cl27 Cl 0.5361 0.0253 0.9244
Cl28 Cl 0.5361 0.4747 0.4244
Cl29 Cl 0.5975 0.2440 0.0980
Cl30 Cl 0.5975 0.2560 0.5980
Cl31 Cl 0.6194 0.2025 0.4328
Cl32 Cl 0.6194 0.2975 0.9328
Cl33 Cl 0.7004 0.6084 0.3178
Cl34 Cl 0.7004 0.8916 0.8178
Cl35 Cl 0.7197 0.1182 0.3160
Cl36 Cl 0.7197 0.3818 0.8160
Cl37 Cl 0.7458 0.5476 0.1499
Cl38 Cl 0.7458 0.9524 0.6499
Cl39 Cl 0.7793 0.7253 0.5401
Cl40 Cl 0.7793 0.7747 0.0401
Cl41 Cl 0.8590 0.0171 0.2207
Cl42 Cl 0.8590 0.4829 0.7207
Cl43 Cl 0.9190 0.0710 0.0403
Cl44 Cl 0.9190 0.4290 0.5403
Cl45 Cl 0.9292 0.6382 0.9290
Cl46 Cl 0.9292 0.8618 0.4290
Cl47 Cl 0.9474 0.2043 0.7038
Cl48 Cl 0.9474 0.2957 0.2038
# energy above the most stable polymorph in this dataset = 0.00 kcal/mol of atoms

***

(6)
# Ba2YCl7 | the Materials Project | PBE | optimized geometry
data_Ba2YCl7
_chemical_formula_sum 'Ba8 Y4 Cl28'
_cell_length_a 6.9295
_cell_length_b 15.7508
_cell_length_c 10.6634
_cell_angle_alpha 90.00
_cell_angle_beta 90.73
_cell_angle_gamma 90.00
_space_group_name_H-M_alt 'P 1'
_space_group_IT_number 1
_space_group_name_Hall 'P 1'
loop_
_atom_site_label
_atom_site_type_symbol
_atom_site_fract_x
_atom_site_fract_y
_atom_site_fract_z
Ba1 Ba 0.2342 0.0608 0.3236
Ba2 Ba 0.2342 0.4392 0.8236
Ba3 Ba 0.2346 0.7202 0.4509
Ba4 Ba 0.2346 0.7798 0.9509
Ba5 Ba 0.7654 0.2202 0.0491
Ba6 Ba 0.7654 0.2798 0.5491
Ba7 Ba 0.7658 0.5608 0.1764
Ba8 Ba 0.7658 0.9392 0.6764
Y1 Y 0.2828 0.1269 0.7820
Y2 Y 0.2828 0.3731 0.2820
Y3 Y 0.7172 0.6269 0.7180
Y4 Y 0.7172 0.8731 0.2180
Cl1 Cl 0.0115 0.2428 0.3018
Cl2 Cl 0.0115 0.2572 0.8018
Cl3 Cl 0.0131 0.1048 0.5860
Cl4 Cl 0.0131 0.3952 0.0860
Cl5 Cl 0.2050 0.5401 0.2870
Cl6 Cl 0.2050 0.9599 0.7870
Cl7 Cl 0.2088 0.1397 0.0281
Cl8 Cl 0.2088 0.3603 0.5281
Cl9 Cl 0.3710 0.5709 0.6239
Cl10 Cl 0.3710 0.9291 0.1239
Cl11 Cl 0.4988 0.2278 0.2947
Cl12 Cl 0.4988 0.2722 0.7947
Cl13 Cl 0.5001 0.1044 0.5714
Cl14 Cl 0.5001 0.3956 0.0714
Cl15 Cl 0.4999 0.6044 0.9286
Cl16 Cl 0.4999 0.8956 0.4286
Cl17 Cl 0.5012 0.7278 0.2053
Cl18 Cl 0.5012 0.7722 0.7053
Cl19 Cl 0.6290 0.0709 0.8761
Cl20 Cl 0.6290 0.4291 0.3761
Cl21 Cl 0.7912 0.6397 0.4719
Cl22 Cl 0.7912 0.8603 0.9719
Cl23 Cl 0.7950 0.0401 0.2130
Cl24 Cl 0.7950 0.4599 0.7130
Cl25 Cl 0.9869 0.6048 0.9140
Cl26 Cl 0.9869 0.8952 0.4140
Cl27 Cl 0.9885 0.7428 0.1982
Cl28 Cl 0.9885 0.7572 0.6982
# energy above the most stable polymorph in this dataset = 0.00 kcal/mol of atoms

***

The records above yield final energy values of -4.6834, -4.6938, -4.4917, -5.0612, -4.7761, -4.7636 eV/atom, respectively.
The records above yield ΔE_f values of -2.789, -2.799, -2.833, -2.689, -2.805, -2.869 eV per atom, respectively.